Entry 1:
First-principles (PBE+U) data for crystalline HoMn2O4 at its relaxed geometry, as listed in the Materials Project database.

Energy of formation from the pure elements = -2.634 eV/atom
VASP energy = -55.06 eV/f.u.

Cell: 11.3559 6.1987 6.2530 Å, 90.00 122.92 90.00°
Space group C2/m (No. 12)
One atom of each set of equivalent atoms:
Ho1 0.1252 0.0000 0.3882 (multiplicity 4)
Mn1 0.0000 0.5000 0.0000 (multiplicity 2)
Mn2 0.0000 0.5000 0.5000 (multiplicity 2)
Mn3 0.2500 0.2500 0.0000 (multiplicity 4)
O1 0.0079 0.2781 0.7335 (multiplicity 8)
O2 0.2335 0.5000 0.2050 (multiplicity 4)
O3 0.2481 0.0000 0.2205 (multiplicity 4)

Entry 2:
First-principles (PBE+U) data for crystalline SrHoMn2O6 at its relaxed geometry, as listed in the Materials Project database.

Energy of formation from the pure elements = -2.752 eV/atom
VASP energy = -74.35 eV/f.u.

Cell: 7.6615 5.5779 5.4477 Å, 90.00 90.00 90.00°
Space group Pmn2_1 (No. 31)
One atom of each set of equivalent atoms:
Sr1 0.0000 0.2223 0.0000 (multiplicity 2)
Ho1 0.0000 0.6884 0.4796 (multiplicity 2)
Mn1 0.2491 0.7563 0.9960 (multiplicity 4)
O1 0.0000 0.2821 0.5538 (multiplicity 2)
O2 0.0000 0.7636 0.8944 (multiplicity 2)
O3 0.2006 0.9494 0.2999 (multiplicity 4)
O4 0.2137 0.4779 0.2223 (multiplicity 4)